(1)
Material: Mo2O
Method: DFT, PBE+U
State: optimized geometry

Computed properties:
energy of formation from the pure elements: 1.447 eV/atom
magnetic moment: 0.989 μB/atom
crystal system: cubic

Cell: 3.949 3.949 3.949 Å, 60.00 60.00 60.00°
Fractional coordinates of all 3 atoms:
1 Mo 0.250 0.250 0.250
2 Mo 0.750 0.750 0.750
3 O 0.000 0.000 0.000


(2)
Material: Li2Co2OF6
Method: DFT, PBE+U
State: optimized geometry

Computed properties:
energy of formation from the pure elements: -2.254 eV/atom
magnetic moment: 0.443 μB/atom
crystal system: triclinic
offset from the most stable computed form: 0 meV per atom

Cell: 5.336 6.684 8.374 Å, 71.22 74.81 82.71°
Fractional coordinates of all 22 atoms:
1 Li 0.067 0.254 0.347
2 Li 0.399 0.570 0.742
3 Li 0.601 0.430 0.258
4 Li 0.933 0.746 0.653
5 Co 0.200 0.999 0.809
6 Co 0.280 0.791 0.295
7 Co 0.720 0.209 0.705
8 Co 0.800 0.001 0.191
9 O 0.055 0.120 0.629
10 O 0.945 0.880 0.371
11 F 0.111 0.714 0.846
12 F 0.196 0.919 0.064
13 F 0.235 0.510 0.292
14 F 0.307 0.705 0.525
15 F 0.361 0.268 0.795
16 F 0.425 0.078 0.262
17 F 0.575 0.922 0.738
18 F 0.639 0.732 0.205
19 F 0.693 0.295 0.475
20 F 0.765 0.490 0.708
21 F 0.804 0.081 0.936
22 F 0.889 0.286 0.154


(3)
Material: CaLa2Mn3O9
Method: DFT, PBE+U
State: optimized geometry

Computed properties:
energy of formation from the pure elements: -2.857 eV/atom
magnetic moment: 0.733 μB/atom
crystal system: orthorhombic
offset from the most stable computed form: 0 meV per atom

Cell: 16.629 7.740 5.556 Å, 90.00 90.00 90.00°
Fractional coordinates of all 60 atoms:
1 Ca 0.157 0.250 0.007
2 Ca 0.343 0.750 0.507
3 Ca 0.657 0.250 0.493
4 Ca 0.843 0.750 0.993
5 La 0.006 0.750 0.503
6 La 0.176 0.750 0.993
7 La 0.324 0.250 0.493
8 La 0.494 0.250 0.003
9 La 0.506 0.750 0.997
10 La 0.676 0.750 0.507
11 La 0.824 0.250 0.007
12 La 0.994 0.250 0.497
13 Mn 0.000 0.000 0.000
14 Mn 0.000 0.500 0.000
15 Mn 0.167 0.001 0.499
16 Mn 0.167 0.499 0.499
17 Mn 0.333 0.501 0.999
18 Mn 0.333 0.999 0.999
19 Mn 0.500 0.000 0.500
20 Mn 0.500 0.500 0.500
21 Mn 0.667 0.001 0.001
22 Mn 0.667 0.499 0.001
23 Mn 0.833 0.501 0.501
24 Mn 0.833 0.999 0.501
25 O 0.003 0.250 0.933
26 O 0.074 0.033 0.278
27 O 0.074 0.467 0.278
28 O 0.092 0.539 0.772
29 O 0.092 0.961 0.772
30 O 0.160 0.750 0.429
31 O 0.171 0.250 0.578
32 O 0.239 0.041 0.219
33 O 0.239 0.459 0.219
34 O 0.261 0.541 0.719
35 O 0.261 0.959 0.719
36 O 0.329 0.750 0.078
37 O 0.340 0.250 0.929
38 O 0.408 0.039 0.272
39 O 0.408 0.461 0.272
40 O 0.426 0.533 0.778
41 O 0.426 0.967 0.778
42 O 0.497 0.750 0.433
43 O 0.503 0.250 0.567
44 O 0.574 0.033 0.222
45 O 0.574 0.467 0.222
46 O 0.592 0.539 0.728
47 O 0.592 0.961 0.728
48 O 0.660 0.750 0.071
49 O 0.671 0.250 0.922
50 O 0.739 0.041 0.281
51 O 0.739 0.459 0.281
52 O 0.761 0.541 0.781
53 O 0.761 0.959 0.781
54 O 0.829 0.750 0.422
55 O 0.840 0.250 0.571
56 O 0.908 0.039 0.228
57 O 0.908 0.461 0.228
58 O 0.926 0.533 0.722
59 O 0.926 0.967 0.722
60 O 0.997 0.750 0.067


(4)
Material: Na4Fe10O15
Method: DFT, PBE+U
State: optimized geometry

Computed properties:
energy of formation from the pure elements: -1.639 eV/atom
magnetic moment: 1.586 μB/atom
crystal system: triclinic

Cell: 5.323 8.145 8.553 Å, 109.49 90.08 108.85°
Fractional coordinates of all 29 atoms:
1 Na 0.093 0.187 0.498
2 Na 0.308 0.607 0.499
3 Na 0.692 0.393 0.501
4 Na 0.907 0.813 0.502
5 Fe 0.109 0.533 0.833
6 Fe 0.109 0.870 0.168
7 Fe 0.298 0.264 0.162
8 Fe 0.301 0.932 0.829
9 Fe 0.495 0.673 0.174
10 Fe 0.505 0.327 0.826
11 Fe 0.699 0.068 0.171
12 Fe 0.702 0.736 0.838
13 Fe 0.891 0.130 0.832
14 Fe 0.891 0.467 0.167
15 O 0.000 0.000 0.000
16 O 0.029 0.684 0.709
17 O 0.183 0.698 0.287
18 O 0.211 0.416 0.003
19 O 0.218 0.084 0.712
20 O 0.393 0.467 0.704
21 O 0.395 0.798 0.003
22 O 0.404 0.125 0.291
23 O 0.596 0.875 0.709
24 O 0.605 0.202 0.997
25 O 0.607 0.533 0.296
26 O 0.782 0.916 0.288
27 O 0.789 0.584 0.997
28 O 0.817 0.302 0.713
29 O 0.971 0.316 0.291


(5)
Material: Li3MnP2O8
Method: DFT, PBE+U
State: optimized geometry

Computed properties:
energy of formation from the pure elements: -2.580 eV/atom
magnetic moment: 0.000 μB/atom
offset from the most stable computed form: 24 meV per atom

Cell: 6.201 8.509 10.718 Å, 89.94 90.18 88.81°
Fractional coordinates of all 56 atoms:
1 O 0.939 0.756 0.750
2 O 0.469 0.247 0.750
3 Li 0.770 0.669 0.000
4 O 0.939 0.256 0.000
5 O 0.270 0.530 0.383
6 P 0.268 0.646 0.500
7 P 0.268 0.647 0.000
8 O 0.730 0.970 0.367
9 Mn 0.500 0.000 0.500
10 O 0.531 0.253 0.000
11 P 0.732 0.353 0.500
12 Li 0.770 0.669 0.500
13 O 0.270 0.030 0.868
14 Li 0.230 0.831 0.750
15 O 0.469 0.747 0.000
16 O 0.730 0.469 0.617
17 O 0.531 0.753 0.750
18 Li 0.000 0.000 0.500
19 O 0.061 0.744 0.000
20 O 0.730 0.469 0.382
21 O 0.730 0.969 0.132
22 O 0.270 0.530 0.618
23 O 0.061 0.244 0.250
24 O 0.061 0.744 0.500
25 Li 0.769 0.169 0.250
26 P 0.268 0.147 0.750
27 O 0.270 0.030 0.368
28 O 0.731 0.470 0.117
29 P 0.732 0.854 0.750
30 Li 0.000 0.500 0.250
31 O 0.469 0.247 0.250
32 Mn 0.500 0.000 0.000
33 P 0.732 0.354 0.000
34 Li 0.231 0.331 0.500
35 O 0.469 0.747 0.500
36 Li 0.769 0.169 0.750
37 Li 0.000 0.500 0.750
38 Mn 0.500 0.500 0.250
39 O 0.531 0.753 0.250
40 P 0.268 0.146 0.250
41 O 0.730 0.970 0.867
42 O 0.269 0.031 0.633
43 Li 0.231 0.331 0.000
44 P 0.732 0.853 0.250
45 Li 0.000 0.000 0.000
46 O 0.939 0.756 0.250
47 Mn 0.500 0.500 0.750
48 O 0.270 0.531 0.883
49 O 0.730 0.470 0.882
50 O 0.061 0.244 0.750
51 O 0.271 0.530 0.118
52 O 0.730 0.970 0.632
53 Li 0.230 0.831 0.250
54 O 0.939 0.256 0.500
55 O 0.531 0.253 0.500
56 O 0.270 0.031 0.133


(6)
Material: NiAuO2
Method: DFT, PBE+U
State: optimized geometry

Computed properties:
energy of formation from the pure elements: -0.827 eV/atom
crystal system: monoclinic

Cell: 3.033 3.033 6.329 Å, 103.88 103.88 59.84°
Fractional coordinates of all 4 atoms:
1 Ni 0.000 0.000 0.000
2 Au 0.500 0.500 0.500
3 O 0.390 0.390 0.169
4 O 0.610 0.610 0.831


(7)
Material: BaPrMgMn2O5
Method: DFT, PBE+U
State: optimized geometry

Computed properties:
energy of formation from the pure elements: -2.367 eV/atom
magnetic moment: 0.941 μB/atom
crystal system: tetragonal
offset from the most stable computed form: 0 meV per atom

Cell: 4.047 4.047 11.244 Å, 90.00 90.00 90.00°
Fractional coordinates of all 10 atoms:
1 Ba 0.000 0.000 0.000
2 Pr 0.000 0.000 0.369
3 Mg 0.000 0.000 0.645
4 Mn 0.500 0.500 0.199
5 Mn 0.500 0.500 0.610
6 O 0.000 0.500 0.269
7 O 0.000 0.500 0.576
8 O 0.500 0.000 0.269
9 O 0.500 0.000 0.576
10 O 0.500 0.500 0.018


(8)
Material: Li2Ni3SnO8
Method: DFT, PBE+U
State: optimized geometry

Computed properties:
energy of formation from the pure elements: -1.464 eV/atom
magnetic moment: 0.000 μB/atom
offset from the most stable computed form: 6 meV per atom

Cell: 5.918 10.051 6.088 Å, 103.72 59.22 88.12°
Fractional coordinates of all 28 atoms:
1 O 0.168 0.129 0.221
2 Ni 0.750 0.750 0.000
3 O 0.869 0.367 0.773
4 O 0.389 0.860 0.192
5 O 0.130 0.633 0.227
6 O 0.889 0.360 0.192
7 O 0.611 0.140 0.809
8 O 0.401 0.362 0.226
9 O 0.098 0.138 0.774
10 O 0.668 0.629 0.221
11 Ni 0.250 0.250 0.000
12 Sn 0.750 0.750 0.500
13 O 0.832 0.871 0.779
14 O 0.110 0.640 0.809
15 Li 0.665 0.436 0.643
16 Li 0.335 0.563 0.356
17 Ni 0.000 0.500 0.000
18 Ni 0.750 0.250 0.000
19 Ni 0.500 0.000 0.000
20 Ni 0.250 0.750 0.000
21 O 0.901 0.862 0.226
22 O 0.598 0.638 0.774
23 O 0.332 0.371 0.778
24 Sn 0.250 0.250 0.500
25 Li 0.835 0.063 0.356
26 O 0.630 0.133 0.227
27 Li 0.165 0.937 0.644
28 O 0.370 0.867 0.773


(9)
Material: HoMoO5
Method: DFT, PBE+U
State: optimized geometry

Computed properties:
energy of formation from the pure elements: -2.533 eV/atom
magnetic moment: 0.143 μB/atom
crystal system: monoclinic

Cell: 5.339 12.456 6.895 Å, 90.00 115.63 90.00°
Fractional coordinates of all 28 atoms:
1 Ho 0.144 0.053 0.289
2 Ho 0.144 0.447 0.789
3 Ho 0.856 0.553 0.211
4 Ho 0.856 0.947 0.711
5 Mo 0.412 0.140 0.857
6 Mo 0.412 0.360 0.357
7 Mo 0.588 0.640 0.643
8 Mo 0.588 0.860 0.143
9 O 0.006 0.581 0.954
10 O 0.006 0.919 0.454
11 O 0.205 0.063 0.967
12 O 0.205 0.437 0.467
13 O 0.262 0.653 0.418
14 O 0.262 0.847 0.918
15 O 0.295 0.226 0.289
16 O 0.295 0.274 0.789
17 O 0.489 0.573 0.842
18 O 0.489 0.927 0.342
19 O 0.511 0.073 0.658
20 O 0.511 0.427 0.158
21 O 0.705 0.726 0.211
22 O 0.705 0.774 0.711
23 O 0.738 0.153 0.082
24 O 0.738 0.347 0.582
25 O 0.795 0.563 0.533
26 O 0.795 0.937 0.033
27 O 0.994 0.081 0.546
28 O 0.994 0.419 0.046


(10)
Material: Cd2Ni6Te3PbO18
Method: DFT, PBE+U
State: optimized geometry

Computed properties:
energy of formation from the pure elements: -1.442 eV/atom
crystal system: hexagonal

Cell: 9.491 9.491 9.034 Å, 90.00 90.00 120.00°
Fractional coordinates of all 60 atoms:
1 Cd 0.333 0.667 0.065
2 Cd 0.333 0.667 0.435
3 Cd 0.667 0.333 0.565
4 Cd 0.667 0.333 0.935
5 Ni 0.007 0.650 0.088
6 Ni 0.007 0.650 0.412
7 Ni 0.350 0.357 0.088
8 Ni 0.350 0.357 0.412
9 Ni 0.357 0.007 0.588
10 Ni 0.357 0.007 0.912
11 Ni 0.643 0.993 0.088
12 Ni 0.643 0.993 0.412
13 Ni 0.650 0.643 0.588
14 Ni 0.650 0.643 0.912
15 Ni 0.993 0.350 0.588
16 Ni 0.993 0.350 0.912
17 Te 0.023 0.664 0.750
18 Te 0.336 0.359 0.750
19 Te 0.359 0.023 0.250
20 Te 0.641 0.977 0.750
21 Te 0.664 0.641 0.250
22 Te 0.977 0.336 0.250
23 Pb 0.000 0.000 0.000
24 Pb 0.000 0.000 0.500
25 O 0.102 0.304 0.092
26 O 0.102 0.304 0.408
27 O 0.107 0.292 0.750
28 O 0.123 0.607 0.589
29 O 0.123 0.607 0.911
30 O 0.127 0.580 0.250
31 O 0.186 0.893 0.750
32 O 0.202 0.898 0.092
33 O 0.202 0.898 0.408
34 O 0.292 0.186 0.250
35 O 0.304 0.202 0.592
36 O 0.304 0.202 0.908
37 O 0.393 0.516 0.589
38 O 0.393 0.516 0.911
39 O 0.420 0.547 0.250
40 O 0.453 0.873 0.250
41 O 0.484 0.877 0.589
42 O 0.484 0.877 0.911
43 O 0.516 0.123 0.089
44 O 0.516 0.123 0.411
45 O 0.547 0.127 0.750
46 O 0.580 0.453 0.750
47 O 0.607 0.484 0.089
48 O 0.607 0.484 0.411
49 O 0.696 0.798 0.092
50 O 0.696 0.798 0.408
51 O 0.708 0.814 0.750
52 O 0.798 0.102 0.592
53 O 0.798 0.102 0.908
54 O 0.814 0.107 0.250
55 O 0.873 0.420 0.750
56 O 0.877 0.393 0.089
57 O 0.877 0.393 0.411
58 O 0.893 0.708 0.250
59 O 0.898 0.696 0.592
60 O 0.898 0.696 0.908


(11)
Material: NaCoO2
Method: DFT, PBE+U
State: optimized geometry

Computed properties:
energy of formation from the pure elements: -1.460 eV/atom
magnetic moment: 0.000 μB/atom
crystal system: triclinic

Cell: 2.906 4.848 12.765 Å, 89.65 87.25 89.61°
Fractional coordinates of all 16 atoms:
1 Na 0.000 0.000 0.000
2 Na 0.002 0.992 0.502
3 Na 0.491 0.495 0.125
4 Na 0.532 0.491 0.628
5 Co 0.015 0.970 0.754
6 Co 0.508 0.467 0.377
7 Co 0.510 0.483 0.877
8 Co 0.998 0.968 0.251
9 O 0.025 0.552 0.778
10 O 0.051 0.499 0.480
11 O 0.458 0.000 0.147
12 O 0.469 0.994 0.649
13 O 0.533 0.064 0.354
14 O 0.541 0.058 0.855
15 O 0.972 0.564 0.273
16 O 0.997 0.501 0.975


(12)
Material: Li2MnF5
Method: DFT, PBE+U
State: optimized geometry

Computed properties:
energy of formation from the pure elements: -2.940 eV/atom
magnetic moment: 0.500 μB/atom
crystal system: orthorhombic
offset from the most stable computed form: 56 meV per atom

Cell: 6.564 8.126 7.662 Å, 90.00 90.00 90.00°
Fractional coordinates of all 32 atoms:
1 Li 0.023 0.081 0.232
2 Li 0.023 0.419 0.232
3 Li 0.477 0.581 0.732
4 Li 0.477 0.919 0.732
5 Li 0.523 0.081 0.268
6 Li 0.523 0.419 0.268
7 Li 0.977 0.581 0.768
8 Li 0.977 0.919 0.768
9 Mn 0.235 0.250 0.607
10 Mn 0.265 0.750 0.107
11 Mn 0.735 0.250 0.893
12 Mn 0.765 0.750 0.393
13 F 0.026 0.750 0.936
14 F 0.077 0.750 0.290
15 F 0.082 0.250 0.400
16 F 0.218 0.016 0.647
17 F 0.218 0.484 0.647
18 F 0.282 0.516 0.147
19 F 0.282 0.984 0.147
20 F 0.418 0.750 0.900
21 F 0.423 0.250 0.790
22 F 0.474 0.250 0.436
23 F 0.526 0.750 0.564
24 F 0.577 0.750 0.210
25 F 0.582 0.250 0.100
26 F 0.718 0.016 0.853
27 F 0.718 0.484 0.853
28 F 0.782 0.516 0.353
29 F 0.782 0.984 0.353
30 F 0.918 0.750 0.600
31 F 0.923 0.250 0.710
32 F 0.974 0.250 0.064


Number 1: MP2020-corrected energy -22.30 eV per formula unit, E_tot -5.069 eV/atom, mass density 7.927 g cm⁻³. Number 2: MP2020-corrected energy -59.27 eV per formula unit, E_tot -4.776 eV/atom, mass density 3.189 g cm⁻³. Number 3: MP2020-corrected energy -126.74 eV per formula unit, E_tot -7.704 eV/atom, mass density 5.820 g cm⁻³. Number 4: MP2020-corrected energy -211.73 eV per formula unit, E_tot -6.168 eV/atom, mass density 4.503 g cm⁻³. Number 5: MP2020-corrected energy -101.42 eV per formula unit, E_tot -6.732 eV/atom, mass density 3.122 g cm⁻³. Number 6: MP2020-corrected energy -22.26 eV per formula unit, E_tot -4.586 eV/atom, mass density 9.872 g cm⁻³. Number 7: MP2020-corrected energy -75.03 eV per formula unit, E_tot -6.826 eV/atom, mass density 4.441 g cm⁻³. Number 8: MP2020-corrected energy -85.24 eV per formula unit, E_tot -5.152 eV/atom, mass density 4.882 g cm⁻³. Number 9: MP2020-corrected energy -57.90 eV per formula unit, E_tot -7.323 eV/atom, mass density 5.476 g cm⁻³. Number 10: MP2020-corrected energy -181.98 eV per formula unit, E_tot -5.146 eV/atom, mass density 6.856 g cm⁻³. Number 11: MP2020-corrected energy -24.17 eV per formula unit, E_tot -5.289 eV/atom, mass density 4.213 g cm⁻³. Number 12: MP2020-corrected energy -46.08 eV per formula unit, E_tot -5.262 eV/atom, mass density 2.662 g cm⁻³.